1.
An optimized crystal structure of Sm2GaCo2. Source: Materials Project, functional PBE.

Properties
The calculated volume is 97.1 Å³ per cell. The final energy is -5.666 eV per atom. The calculation puts the energy relative to the elements at -329.5 meV per atom.

Lattice parameters (Å, degrees): 5.4992 5.4992 5.4992 136.18 119.93 77.27
Positions (direct):
Sm (0.2065, 0.2065, 0.0000)
Sm (0.7935, 0.7935, 0.0000)
Ga (0.5000, 0.0000, 0.5000)
Co (0.2137, 0.5000, 0.7137)
Co (0.7863, 0.5000, 0.2863)

2.
An optimized crystal structure of SmGa7Co5. Source: Materials Project, functional PBE.

Properties
The calculated volume is 189.1 Å³ per cell. The final energy is -4.832 eV per atom. The calculation puts the energy relative to the elements at -104.3 meV per atom. The spin magnetization is 4.06 Bohr magnetons per cell.

Lattice parameters (Å, degrees): 6.6591 6.6591 6.6591 136.31 100.15 95.77
Positions (direct):
Sm (0.0000, 0.0000, 0.0000)
Ga (0.0178, 0.0019, 0.5143)
Ga (0.0178, 0.5035, 0.0160)
Ga (0.2424, 0.5047, 0.7377)
Ga (0.4876, 0.0019, 0.9840)
Ga (0.4876, 0.5035, 0.4857)
Ga (0.7362, 0.2362, 0.5000)
Ga (0.7671, 0.5047, 0.2623)
Co (0.2173, 0.7173, 0.5000)
Co (0.3488, 0.9938, 0.3550)
Co (0.3619, 0.3619, 0.0000)
Co (0.6387, 0.9938, 0.6450)
Co (0.6461, 0.6461, 0.0000)